# PBE-GGA Nd3Tm, relaxed
# - energy of formation (eV/atom) = 0.0252
# - V (Å³/cell) = 276.4
data_Nd3Tm
_chemical_formula_sum 'Nd6 Tm2'
_space_group_name_H-M_alt 'P 63/m m c'
_space_group_IT_number 194
_space_group_name_Hall '-P 6c 2c'
_cell_length_a 7.3241
_cell_length_b 7.3241
_cell_length_c 5.9501
_cell_angle_alpha 90.00
_cell_angle_beta 90.00
_cell_angle_gamma 120.00
loop_
_atom_site_label
_atom_site_fract_x
_atom_site_fract_y
_atom_site_fract_z
Nd1 0.1680 0.3360 0.2500
Tm1 0.3333 0.6667 0.7500